No. 1
A geometry-optimized NaTiO3 structure. Source: the Materials Project database, functional PBE.

## Properties
Total energy after the MP2020 corrections ... -7.456 eV/atom
Crystal system ... cubic

a b c (Å): 3.902 3.902 3.902
angles (deg): 90.00 90.00 90.00
Fractional coordinates of all 5 atoms:
Na (0.000, 0.000, 0.000)
Ti (0.500, 0.500, 0.500)
O (0.000, 0.500, 0.500)
O (0.500, 0.000, 0.500)
O (0.500, 0.500, 0.000)

No. 2
A geometry-optimized K3TmF6 structure. Source: the Materials Project database, functional PBE.

## Properties
Total energy after the MP2020 corrections ... -5.458 eV/atom
Crystal system ... tetragonal

a b c (Å): 6.763 6.763 6.763
angles (deg): 117.24 117.24 94.86
Fractional coordinates of all 10 atoms:
K (0.000, 0.000, 0.000)
K (0.250, 0.750, 0.500)
K (0.750, 0.250, 0.500)
Tm (0.500, 0.500, 0.000)
F (0.196, 0.500, 0.696)
F (0.264, 0.264, 0.000)
F (0.500, 0.196, 0.696)
F (0.500, 0.804, 0.304)
F (0.736, 0.736, 0.000)
F (0.804, 0.500, 0.304)

No. 3
A geometry-optimized KScH4C4O10 structure. Source: the Materials Project database, functional PBE.

## Properties
Total energy after the MP2020 corrections ... -7.235 eV/atom
Maximum piezoelectric response ... 0.084 C/m2
Crystal system ... hexagonal

a b c (Å): 8.963 8.963 11.597
angles (deg): 90.00 90.00 120.00
Fractional coordinates of all 60 atoms:
K (0.000, 0.000, 0.000)
K (0.000, 0.000, 0.333)
K (0.000, 0.000, 0.667)
Sc (0.000, 0.500, 0.667)
Sc (0.500, 0.000, 0.000)
Sc (0.500, 0.500, 0.333)
H (0.099, 0.347, 0.183)
H (0.099, 0.752, 0.151)
H (0.248, 0.347, 0.817)
H (0.248, 0.901, 0.516)
H (0.347, 0.099, 0.484)
H (0.347, 0.248, 0.849)
H (0.653, 0.752, 0.849)
H (0.653, 0.901, 0.484)
H (0.752, 0.099, 0.516)
H (0.752, 0.653, 0.817)
H (0.901, 0.248, 0.151)
H (0.901, 0.653, 0.183)
C (0.211, 0.421, 0.500)
C (0.211, 0.789, 0.833)
C (0.309, 0.618, 0.500)
C (0.309, 0.691, 0.833)
C (0.382, 0.691, 0.167)
C (0.421, 0.211, 0.167)
C (0.579, 0.789, 0.167)
C (0.618, 0.309, 0.167)
C (0.691, 0.309, 0.833)
C (0.691, 0.382, 0.500)
C (0.789, 0.211, 0.833)
C (0.789, 0.579, 0.500)
O (0.000, 0.232, 0.167)
O (0.000, 0.768, 0.167)
O (0.080, 0.347, 0.565)
O (0.080, 0.733, 0.768)
O (0.232, 0.000, 0.500)
O (0.232, 0.232, 0.833)
O (0.241, 0.551, 0.777)
O (0.241, 0.689, 0.557)
O (0.267, 0.347, 0.435)
O (0.267, 0.920, 0.898)
O (0.311, 0.551, 0.223)
O (0.311, 0.759, 0.110)
O (0.347, 0.080, 0.102)
O (0.347, 0.267, 0.232)
O (0.449, 0.689, 0.443)
O (0.449, 0.759, 0.890)
O (0.551, 0.241, 0.890)
O (0.551, 0.311, 0.443)
O (0.653, 0.733, 0.232)
O (0.653, 0.920, 0.102)
O (0.689, 0.241, 0.110)
O (0.689, 0.449, 0.223)
O (0.733, 0.080, 0.898)
O (0.733, 0.653, 0.435)
O (0.759, 0.311, 0.557)
O (0.759, 0.449, 0.777)
O (0.768, 0.000, 0.500)
O (0.768, 0.768, 0.833)
O (0.920, 0.267, 0.768)
O (0.920, 0.653, 0.565)

No. 4
A geometry-optimized Cd2As3I structure. Source: the Materials Project database, functional PBE.

## Properties
Total energy after the MP2020 corrections ... -3.162 eV/atom
Crystal system ... monoclinic

a b c (Å): 6.515 6.515 8.165
angles (deg): 97.01 97.01 97.34
Fractional coordinates of all 12 atoms:
Cd (0.098, 0.388, 0.286)
Cd (0.388, 0.098, 0.786)
Cd (0.612, 0.902, 0.214)
Cd (0.902, 0.612, 0.714)
As (0.076, 0.172, 0.974)
As (0.172, 0.076, 0.474)
As (0.209, 0.791, 0.250)
As (0.791, 0.209, 0.750)
As (0.828, 0.924, 0.526)
As (0.924, 0.828, 0.026)
I (0.373, 0.627, 0.750)
I (0.627, 0.373, 0.250)

No. 5
A geometry-optimized CaGaBiB2O7 structure. Source: the Materials Project database, functional PBE.

## Properties
Total energy after the MP2020 corrections ... -6.490 eV/atom
Crystal system ... tetragonal

a b c (Å): 7.721 7.721 10.849
angles (deg): 90.00 90.00 90.00
Fractional coordinates of all 48 atoms:
Ca (0.175, 0.325, 0.211)
Ca (0.325, 0.825, 0.789)
Ca (0.675, 0.175, 0.789)
Ca (0.825, 0.675, 0.211)
Ga (0.000, 0.000, 0.000)
Ga (0.000, 0.000, 0.500)
Ga (0.500, 0.500, 0.000)
Ga (0.500, 0.500, 0.500)
Bi (0.148, 0.352, 0.793)
Bi (0.352, 0.852, 0.207)
Bi (0.648, 0.148, 0.207)
Bi (0.852, 0.648, 0.793)
B (0.132, 0.632, 0.032)
B (0.209, 0.709, 0.376)
B (0.291, 0.209, 0.624)
B (0.368, 0.132, 0.968)
B (0.632, 0.868, 0.968)
B (0.709, 0.791, 0.624)
B (0.791, 0.291, 0.376)
B (0.868, 0.368, 0.032)
O (0.000, 0.500, 0.079)
O (0.000, 0.500, 0.664)
O (0.046, 0.908, 0.658)
O (0.066, 0.801, 0.093)
O (0.092, 0.046, 0.342)
O (0.122, 0.622, 0.447)
O (0.153, 0.653, 0.902)
O (0.199, 0.066, 0.907)
O (0.301, 0.566, 0.093)
O (0.347, 0.153, 0.098)
O (0.378, 0.122, 0.553)
O (0.408, 0.546, 0.658)
O (0.434, 0.301, 0.907)
O (0.454, 0.408, 0.342)
O (0.500, 0.000, 0.336)
O (0.500, 0.000, 0.921)
O (0.546, 0.592, 0.342)
O (0.566, 0.699, 0.907)
O (0.592, 0.454, 0.658)
O (0.622, 0.878, 0.553)
O (0.653, 0.847, 0.098)
O (0.699, 0.434, 0.093)
O (0.801, 0.934, 0.907)
O (0.847, 0.347, 0.902)
O (0.878, 0.378, 0.447)
O (0.908, 0.954, 0.342)
O (0.934, 0.199, 0.093)
O (0.954, 0.092, 0.658)

No. 6
A geometry-optimized SiH2CSO3F3 structure. Source: the Materials Project database, functional PBE.

## Properties
Total energy after the MP2020 corrections ... -5.583 eV/atom
Crystal system ... monoclinic

a b c (Å): 9.562 7.018 11.401
angles (deg): 90.00 110.90 90.00
Fractional coordinates of all 44 atoms:
Si (0.006, 0.047, 0.401)
Si (0.006, 0.453, 0.901)
Si (0.994, 0.547, 0.099)
Si (0.994, 0.953, 0.599)
H (0.097, 0.582, 0.854)
H (0.097, 0.918, 0.354)
H (0.137, 0.609, 0.195)
H (0.137, 0.891, 0.695)
H (0.863, 0.109, 0.305)
H (0.863, 0.391, 0.805)
H (0.903, 0.082, 0.646)
H (0.903, 0.418, 0.146)
C (0.394, 0.244, 0.068)
C (0.394, 0.256, 0.568)
C (0.606, 0.744, 0.432)
C (0.606, 0.756, 0.932)
S (0.207, 0.144, 0.051)
S (0.207, 0.356, 0.551)
S (0.793, 0.644, 0.449)
S (0.793, 0.856, 0.949)
O (0.109, 0.240, 0.927)
O (0.109, 0.260, 0.427)
O (0.173, 0.219, 0.156)
O (0.173, 0.281, 0.656)
O (0.215, 0.557, 0.532)
O (0.215, 0.943, 0.032)
O (0.785, 0.057, 0.968)
O (0.785, 0.443, 0.468)
O (0.827, 0.719, 0.344)
O (0.827, 0.781, 0.844)
O (0.891, 0.740, 0.573)
O (0.891, 0.760, 0.073)
F (0.389, 0.064, 0.575)
F (0.389, 0.436, 0.075)
F (0.431, 0.197, 0.968)
F (0.431, 0.303, 0.468)
F (0.498, 0.175, 0.174)
F (0.498, 0.325, 0.674)
F (0.502, 0.675, 0.326)
F (0.502, 0.825, 0.826)
F (0.569, 0.697, 0.532)
F (0.569, 0.803, 0.032)
F (0.611, 0.564, 0.925)
F (0.611, 0.936, 0.425)

No. 7
A geometry-optimized KYH4C4O9 structure. Source: the Materials Project database, functional PBE.

## Properties
Total energy after the MP2020 corrections ... -6.921 eV/atom
Crystal system ... triclinic

a b c (Å): 6.250 6.676 7.363
angles (deg): 108.02 113.68 97.95
Fractional coordinates of all 19 atoms:
K (0.000, 0.000, 0.000)
Y (0.847, 0.339, 0.605)
H (0.195, 0.528, 0.301)
H (0.411, 0.721, 0.818)
H (0.480, 0.149, 0.978)
H (0.763, 0.747, 0.323)
C (0.167, 0.573, 0.162)
C (0.441, 0.562, 0.747)
C (0.582, 0.197, 0.156)
C (0.885, 0.810, 0.500)
O (0.041, 0.417, 0.974)
O (0.259, 0.770, 0.196)
O (0.264, 0.390, 0.665)
O (0.484, 0.277, 0.272)
O (0.521, 0.089, 0.599)
O (0.649, 0.572, 0.755)
O (0.793, 0.170, 0.237)
O (0.945, 0.015, 0.613)
O (0.955, 0.671, 0.576)

No. 8
A geometry-optimized NaPH4O5 structure. Source: the Materials Project database, functional PBE.

## Properties
Total energy after the MP2020 corrections ... -5.976 eV/atom
Crystal system ... triclinic

a b c (Å): 7.879 9.594 10.894
angles (deg): 66.98 73.87 88.70
Fractional coordinates of all 66 atoms:
Na (0.124, 0.409, 0.426)
Na (0.146, 0.569, 0.071)
Na (0.154, 0.755, 0.702)
Na (0.846, 0.245, 0.298)
Na (0.854, 0.431, 0.929)
Na (0.876, 0.591, 0.574)
P (0.205, 0.248, 0.006)
P (0.236, 0.388, 0.708)
P (0.466, 0.508, 0.819)
P (0.534, 0.492, 0.181)
P (0.764, 0.612, 0.292)
P (0.795, 0.752, 0.994)
H (0.004, 0.993, 0.768)
H (0.069, 0.101, 0.515)
H (0.181, 0.102, 0.684)
H (0.189, 0.723, 0.286)
H (0.200, 0.149, 0.365)
H (0.232, 0.909, 0.052)
H (0.243, 0.713, 0.418)
H (0.364, 0.084, 0.205)
H (0.379, 0.801, 0.039)
H (0.420, 0.906, 0.411)
H (0.497, 0.748, 0.468)
H (0.499, 0.820, 0.768)
H (0.501, 0.180, 0.232)
H (0.503, 0.252, 0.532)
H (0.580, 0.094, 0.589)
H (0.621, 0.199, 0.961)
H (0.636, 0.916, 0.795)
H (0.757, 0.287, 0.582)
H (0.768, 0.091, 0.948)
H (0.800, 0.851, 0.635)
H (0.811, 0.277, 0.714)
H (0.819, 0.898, 0.316)
H (0.931, 0.899, 0.485)
H (0.996, 0.007, 0.232)
O (0.062, 0.332, 0.061)
O (0.083, 0.168, 0.416)
O (0.094, 0.496, 0.713)
O (0.119, 0.007, 0.697)
O (0.151, 0.675, 0.388)
O (0.192, 0.245, 0.861)
O (0.224, 0.086, 0.097)
O (0.250, 0.802, 0.068)
O (0.275, 0.319, 0.603)
O (0.338, 0.471, 0.212)
O (0.354, 0.630, 0.842)
O (0.388, 0.800, 0.482)
O (0.398, 0.345, 0.955)
O (0.417, 0.087, 0.276)
O (0.423, 0.466, 0.699)
O (0.577, 0.534, 0.301)
O (0.583, 0.913, 0.724)
O (0.602, 0.655, 0.045)
O (0.612, 0.200, 0.518)
O (0.646, 0.370, 0.158)
O (0.662, 0.529, 0.788)
O (0.725, 0.681, 0.397)
O (0.750, 0.198, 0.932)
O (0.776, 0.914, 0.903)
O (0.808, 0.755, 0.139)
O (0.849, 0.325, 0.612)
O (0.881, 0.993, 0.303)
O (0.906, 0.504, 0.287)
O (0.917, 0.832, 0.584)
O (0.938, 0.668, 0.939)

No. 9
A geometry-optimized Ca2SiO4 structure. Source: the Materials Project database, functional PBE.

## Properties
Total energy after the MP2020 corrections ... -7.637 eV/atom
Crystal system ... monoclinic

a b c (Å): 8.350 9.850 9.877
angles (deg): 90.00 94.83 90.00
Fractional coordinates of all 56 atoms:
Ca (0.097, 0.067, 0.289)
Ca (0.097, 0.433, 0.789)
Ca (0.177, 0.079, 0.928)
Ca (0.177, 0.421, 0.428)
Ca (0.340, 0.082, 0.586)
Ca (0.340, 0.418, 0.086)
Ca (0.379, 0.713, 0.575)
Ca (0.379, 0.787, 0.075)
Ca (0.621, 0.213, 0.925)
Ca (0.621, 0.287, 0.425)
Ca (0.660, 0.582, 0.914)
Ca (0.660, 0.918, 0.414)
Ca (0.823, 0.579, 0.572)
Ca (0.823, 0.921, 0.072)
Ca (0.903, 0.567, 0.211)
Ca (0.903, 0.933, 0.711)
Si (0.023, 0.703, 0.930)
Si (0.023, 0.797, 0.430)
Si (0.459, 0.073, 0.199)
Si (0.459, 0.427, 0.699)
Si (0.541, 0.573, 0.301)
Si (0.541, 0.927, 0.801)
Si (0.977, 0.203, 0.570)
Si (0.977, 0.297, 0.070)
O (0.047, 0.131, 0.714)
O (0.047, 0.369, 0.214)
O (0.062, 0.634, 0.408)
O (0.062, 0.866, 0.908)
O (0.130, 0.199, 0.473)
O (0.130, 0.301, 0.973)
O (0.179, 0.620, 0.002)
O (0.179, 0.880, 0.502)
O (0.283, 0.007, 0.142)
O (0.283, 0.493, 0.642)
O (0.409, 0.047, 0.825)
O (0.409, 0.453, 0.325)
O (0.461, 0.097, 0.366)
O (0.461, 0.403, 0.866)
O (0.494, 0.215, 0.122)
O (0.494, 0.285, 0.622)
O (0.506, 0.715, 0.378)
O (0.506, 0.785, 0.878)
O (0.539, 0.597, 0.134)
O (0.539, 0.903, 0.634)
O (0.591, 0.547, 0.675)
O (0.591, 0.953, 0.175)
O (0.717, 0.507, 0.358)
O (0.717, 0.993, 0.858)
O (0.821, 0.120, 0.498)
O (0.821, 0.380, 0.998)
O (0.870, 0.699, 0.027)
O (0.870, 0.801, 0.527)
O (0.938, 0.134, 0.092)
O (0.938, 0.366, 0.592)
O (0.953, 0.631, 0.786)
O (0.953, 0.869, 0.286)

No. 10
A geometry-optimized MgCl2 structure. Source: the Materials Project database, functional PBE.

## Properties
Total energy after the MP2020 corrections ... -4.031 eV/atom
Crystal system ... trigonal

a b c (Å): 3.677 3.677 6.416
angles (deg): 90.00 90.00 120.00
Fractional coordinates of all 3 atoms:
Mg (0.000, 0.000, 0.000)
Cl (0.333, 0.667, 0.786)
Cl (0.667, 0.333, 0.214)

No. 11
A geometry-optimized Sn3Pb structure. Source: the Materials Project database, functional PBE.

## Properties
Crystal system ... hexagonal

a b c (Å): 6.764 6.764 5.839
angles (deg): 90.00 90.00 120.00
Fractional coordinates of all 8 atoms:
Sn (0.164, 0.328, 0.250)
Sn (0.164, 0.836, 0.250)
Sn (0.328, 0.164, 0.750)
Sn (0.672, 0.836, 0.250)
Sn (0.836, 0.164, 0.750)
Sn (0.836, 0.672, 0.750)
Pb (0.333, 0.667, 0.750)
Pb (0.667, 0.333, 0.250)

no.,ΔH_f (0 K) (meV/atom)
1,-2644
2,-3529
3,-1865
4,-270
5,-1746
6,-1386
7,-1521
8,-1881
9,-3461
10,-2265
11,53